(i)
Mg16Al12Sn after structural relaxation, computed with PBE. Values from VASP.

Quantum ESPRESSO input file:
```
&SYSTEM
  ibrav = 0, nat = 29, ntyp = 3
/
ATOMIC_SPECIES
Mg 24.30 Mg.upf
Al 26.98 Al.upf
Sn 118.71 Sn.upf
ATOMIC_POSITIONS angstrom
Mg 1.8255 1.8255 -1.8255
Mg 4.8287 1.5042 -1.5042
Mg 1.8255 -1.8255 1.8255
Mg 4.8287 -1.5042 1.5042
Mg 5.7250 1.5042 1.5042
Mg 1.5042 4.8287 -1.5042
Mg 1.5042 -1.5042 4.8287
Mg -1.8255 1.8255 1.8255
Mg 3.7726 3.7726 0.4482
Mg 3.7726 0.4482 3.7726
Mg -1.5042 4.8287 1.5042
Mg -1.5042 1.5042 4.8287
Mg 3.4514 3.4514 3.4514
Mg 1.5042 5.7250 1.5042
Mg 1.5042 1.5042 5.7250
Mg 0.4482 3.7726 3.7726
Al 7.6095 0.9685 -0.9685
Al 7.6095 -0.9685 0.9685
Al 2.9442 0.9685 0.9685
Al 4.3083 4.3083 -2.3326
Al 4.3083 -2.3326 4.3083
Al 0.9685 2.9442 0.9685
Al 0.9685 0.9685 2.9442
Al 0.9685 7.6095 -0.9685
Al 0.9685 -0.9685 7.6095
Al -0.9685 7.6095 0.9685
Al -0.9685 0.9685 7.6095
Al -2.3326 4.3083 4.3083
Sn 0.0000 0.0000 0.0000
CELL_PARAMETERS angstrom
-5.2769 5.2769 5.2769
5.2769 -5.2769 5.2769
5.2769 5.2769 -5.2769
```

Calculated values
The calculation puts the magnetic moment at 0.01 μB per cell.

=====

(ii)
Mg16Al12Sn after structural relaxation, computed with PBE. Values from VASP.

Quantum ESPRESSO input file:
```
&SYSTEM
  ibrav = 0, nat = 29, ntyp = 3
/
ATOMIC_SPECIES
Mg 24.30 Mg.upf
Al 26.98 Al.upf
Sn 118.71 Sn.upf
ATOMIC_POSITIONS angstrom
Mg 0.0000 0.0000 0.0000
Mg -2.9756 -1.7180 5.0347
Mg -2.1045 -4.6814 5.8400
Mg -5.1064 0.5182 5.8400
Mg -4.8822 -2.8187 7.1472
Mg 0.0000 -2.6909 4.5866
Mg -2.3304 1.3455 4.5866
Mg 2.1044 -4.6814 5.8400
Mg -3.0020 4.1632 5.8400
Mg 2.9756 -1.7180 5.0347
Mg 0.0000 3.4360 5.0347
Mg 2.3304 1.3455 4.5866
Mg 4.8822 -2.8187 7.1471
Mg 0.0000 5.6374 7.1471
Mg 5.1064 0.5182 5.8400
Mg 3.0020 4.1632 5.8400
Al -4.6851 -4.2991 4.4222
Al -6.0657 -1.9079 4.4222
Al -1.3961 -0.8060 2.7335
Al 0.0000 -5.4456 3.5989
Al -4.7161 2.7228 3.5989
Al 1.3961 -0.8060 2.7335
Al 0.0000 1.6121 2.7335
Al 4.6851 -4.2991 4.4222
Al -1.3805 6.2070 4.4222
Al 4.7161 2.7228 3.5989
Al 6.0657 -1.9079 4.4222
Al 1.3805 6.2070 4.4222
Sn 0.0000 0.0000 6.0881
CELL_PARAMETERS angstrom
7.4701 4.3128 3.0563
-7.4701 4.3128 3.0563
0.0000 -8.6257 3.0563
```

Calculated values
The calculation puts the magnetic moment at 0.04 μB per cell.

=====

(ii) is the most stable structure; the next one sits 0.011 eV/atom above it.